(1)
A plane-wave DFT calculation with PBE-GGA was carried out for a relaxed structure of Li10B14Cl2O25.

Unit cell a=8.6519 b=8.6519 c=8.6519 alpha=60.00 beta=60.00 gamma=60.00
Positions (direct):
O: 0.9364 0.7036 0.2577
O: 0.9364 0.1023 0.7036
Cl: 0.2500 0.2500 0.2500
B: 0.7495 0.2505 0.7495
O: 0.1957 0.4389 0.7583
O: 0.1957 0.7583 0.6071
O: 0.0000 0.0000 0.0000
B: 0.6009 0.6009 0.1974
O: 0.1023 0.7036 0.9364
Li: 0.4567 0.0433 0.4567
Li: 0.4052 0.8649 0.8649
O: 0.7036 0.2577 0.9364
B: 0.0810 0.0810 0.0810
Li: 0.0433 0.4567 0.0433
O: 0.7036 0.1023 0.2577
Cl: 0.7500 0.7500 0.7500
B: 0.6009 0.6009 0.6009
B: 0.6009 0.1974 0.6009
Li: 0.0433 0.4567 0.4567
O: 0.2577 0.9364 0.7036
O: 0.4389 0.7583 0.1957
B: 0.1974 0.6009 0.6009
O: 0.9364 0.2577 0.1023
O: 0.1023 0.9364 0.2577
B: 0.7495 0.2505 0.2505
B: 0.2505 0.7495 0.7495
O: 0.7036 0.9364 0.1023
Li: 0.4567 0.4567 0.0433
B: 0.0810 0.0810 0.7571
B: 0.7495 0.7495 0.2505
Li: 0.4567 0.0433 0.0433
O: 0.7583 0.1957 0.4389
Li: 0.8649 0.8649 0.8649
O: 0.6071 0.4389 0.1957
O: 0.2577 0.1023 0.9364
O: 0.6071 0.7583 0.4389
B: 0.2505 0.2505 0.7495
O: 0.4389 0.6071 0.7583
O: 0.2577 0.7036 0.1023
O: 0.6071 0.1957 0.7583
O: 0.1023 0.2577 0.7036
Li: 0.8649 0.8649 0.4052
O: 0.7583 0.6071 0.1957
O: 0.1957 0.6071 0.4389
B: 0.0810 0.7571 0.0810
O: 0.4389 0.1957 0.6071
Li: 0.0433 0.0433 0.4567
B: 0.2505 0.7495 0.2505
Li: 0.8649 0.4052 0.8649
B: 0.7571 0.0810 0.0810
O: 0.7583 0.4389 0.6071

DFT formation energy ... -138.7 eV/f.u.
Symmetry ... F23 (196)



(2)
A plane-wave DFT calculation with PBE-GGA was carried out for a relaxed structure of LiB6S4Cl6O8.

Unit cell a=10.2384 b=10.5803 c=10.6365 alpha=116.37 beta=94.93 gamma=101.28
Positions (direct):
Cl: 0.7926 0.4578 0.6575
O: 0.9259 0.5300 0.1328
Cl: 0.5100 0.5090 0.1756
O: 0.9089 0.0551 0.1699
B: 0.4043 0.3502 0.3495
S: 0.9687 0.1934 0.1723
O: 0.9521 0.1928 0.0356
Cl: 0.4900 0.4910 0.8244
Cl: 0.3262 0.7245 0.7359
Cl: 0.2074 0.5422 0.3425
B: 0.5957 0.6498 0.6505
O: 0.9468 0.0989 0.6923
B: 0.6517 0.5867 0.4832
S: 0.5065 0.1152 0.8820
O: 0.3719 0.8054 0.1375
B: 0.5098 0.6651 0.5056
O: 0.3771 0.1163 0.8149
O: 0.0911 0.9449 0.8301
O: 0.1964 0.3053 0.9028
Li: 0.8391 0.9117 0.2420
O: 0.1712 0.9559 0.5454
Cl: 0.3054 0.1901 0.1910
Cl: 0.6946 0.8099 0.8090
O: 0.6281 0.1946 0.8625
O: 0.0532 0.9011 0.3077
Cl: 0.1896 0.3206 0.5339
Cl: 0.6738 0.2755 0.2641
S: 0.8291 0.0990 0.6065
B: 0.3570 0.5197 0.4227
B: 0.4139 0.6080 0.6132
B: 0.5043 0.5055 0.3422
O: 0.0479 0.8072 0.9644
S: 0.0313 0.8066 0.8277
S: 0.8182 0.5474 0.0491
B: 0.3483 0.4133 0.5168
B: 0.5861 0.3920 0.3868
S: 0.4935 0.8848 0.1180
S: 0.1709 0.9010 0.3935
Cl: 0.5190 0.8399 0.5136
B: 0.4957 0.4945 0.6578
O: 0.8288 0.0441 0.4546
Cl: 0.4810 0.1601 0.4864
O: 0.8036 0.6947 0.0972
Li: 0.1609 0.0883 0.7580
S: 0.1818 0.4526 0.9509
Cl: 0.8104 0.6794 0.4661
O: 0.6229 0.8837 0.1851
B: 0.4902 0.3349 0.4944
B: 0.6430 0.4803 0.5773
O: 0.0741 0.4700 0.8672

DFT formation energy ... -30.2 eV/f.u.
Symmetry ... P-1 (2)



(3)
A plane-wave DFT calculation with PBE-GGA was carried out for a relaxed structure of Mg3B7ClO13.

Unit cell a=8.6288 b=8.6431 c=12.2237 alpha=90.00 beta=90.00 gamma=90.00
Positions (direct):
O: 0.3649 0.3213 0.8154
O: 0.1763 0.1406 0.1746
Mg: 0.7486 0.2591 0.9750
Mg: 0.2514 0.7409 0.4750
O: 0.9106 0.9649 0.1050
O: 0.8761 0.8263 0.3139
Mg: 0.4685 0.5163 0.7505
B: 0.0963 0.2532 0.4200
O: 0.8237 0.6406 0.1746
O: 0.1619 0.9667 0.0222
O: 0.0276 0.6670 0.9774
O: 0.4814 0.8371 0.9788
B: 0.2491 0.0429 0.6021
O: 0.6701 0.0442 0.0264
O: 0.0572 0.4105 0.9060
Mg: 0.2514 0.7591 0.9750
O: 0.4629 0.4095 0.4010
O: 0.9724 0.1670 0.9774
O: 0.0572 0.0895 0.4060
B: 0.4962 0.9971 0.4998
B: 0.7499 0.9058 0.5723
O: 0.3286 0.3849 0.1860
O: 0.9428 0.9105 0.9060
O: 0.4629 0.0905 0.9010
O: 0.6701 0.4558 0.5264
B: 0.4962 0.5029 0.9998
O: 0.5186 0.3371 0.9788
O: 0.6714 0.8849 0.1860
B: 0.7509 0.9571 0.1021
B: 0.5967 0.7528 0.4193
O: 0.1239 0.3263 0.3139
O: 0.5910 0.5480 0.0941
B: 0.7531 0.7433 0.7474
O: 0.1763 0.3594 0.6746
O: 0.0276 0.8330 0.4774
B: 0.7531 0.7567 0.2474
Mg: 0.0319 0.9842 0.2534
B: 0.2501 0.0942 0.0723
O: 0.7496 0.7308 0.9882
B: 0.0026 0.5020 0.0006
O: 0.9724 0.3330 0.4774
O: 0.2504 0.2692 0.4882
O: 0.8381 0.4667 0.0222
B: 0.2491 0.4571 0.1021
O: 0.7496 0.7692 0.4882
O: 0.4090 0.0480 0.0941
O: 0.6714 0.6151 0.6860
O: 0.6351 0.8213 0.8154
B: 0.0963 0.2468 0.9200
O: 0.3299 0.5442 0.0264
B: 0.5038 0.4971 0.4998
O: 0.8237 0.8594 0.6746
Cl: 0.2502 0.7785 0.2633
B: 0.0026 0.9980 0.5006
B: 0.2501 0.4058 0.5723
O: 0.2504 0.2308 0.9882
O: 0.8381 0.0333 0.5222
Cl: 0.7498 0.2785 0.2633
B: 0.7509 0.5429 0.6021
B: 0.9037 0.7468 0.9200
Mg: 0.5315 0.0163 0.7505
O: 0.5371 0.5905 0.9010
O: 0.3299 0.9558 0.5264
O: 0.9428 0.5895 0.4060
O: 0.6351 0.6787 0.3154
B: 0.5967 0.7472 0.9193
B: 0.5038 0.0029 0.9998
O: 0.5910 0.9520 0.5941
Cl: 0.7498 0.2215 0.7633
Mg: 0.7486 0.2409 0.4750
B: 0.2469 0.2433 0.7474
O: 0.3649 0.1787 0.3154
Mg: 0.9681 0.4842 0.2534
O: 0.3286 0.1151 0.6860
B: 0.9974 0.0020 0.0006
B: 0.9037 0.7532 0.4200
O: 0.4814 0.6629 0.4788
O: 0.5186 0.1629 0.4788
B: 0.9974 0.4980 0.5006
O: 0.8761 0.6737 0.8139
Mg: 0.4685 0.9837 0.2505
B: 0.4033 0.2528 0.4193
O: 0.0894 0.0351 0.6050
Mg: 0.5315 0.4837 0.2505
O: 0.5371 0.9095 0.4010
B: 0.4033 0.2472 0.9193
O: 0.1619 0.5333 0.5222
Mg: 0.0319 0.5158 0.7534
O: 0.9106 0.5351 0.6050
B: 0.7499 0.5942 0.0723
B: 0.2469 0.2567 0.2474
Cl: 0.2502 0.7215 0.7633
O: 0.1239 0.1737 0.8139
O: 0.4090 0.4520 0.5941
O: 0.0894 0.4649 0.1050
Mg: 0.9681 0.0158 0.7534

Polymorph energy (0 for the lowest one) ... 0 meV per atom
DFT formation energy ... -69.5 eV/f.u.
Symmetry ... Pca2_1 (29)